VASP calculation (PBE-GGA) on crystalline In2Pt at its relaxed geometry.

Cell and atoms, written as extended XYZ:
```
3
Lattice="0.000 3.239 3.239 3.239 0.000 3.239 3.239 3.239 0.000" Properties=species:S:1:pos:R:3 pbc="T T T"
In 4.859 4.859 4.859
In 1.620 1.620 1.620
Pt 0.000 0.000 0.000
```

Summary:
V = 68 Å³ per cell
Formation enthalpy at 0 K = -467 meV per atom